Record 1
A relaxed CaFe2O4 crystal, computed with meta-GGA r2SCAN.

Structure (CIF):
```
data_CaFe2O4
_chemical_formula_sum 'Ca4 Fe8 O16'
_symmetry_space_group_name_H-M 'P m n 21'
_symmetry_Int_Tables_number 31
_symmetry_space_group_name_Hall 'P 2ac -2'
_cell_length_a 11.0842
_cell_length_b 5.1402
_cell_length_c 5.9598
_cell_angle_alpha 90.00
_cell_angle_beta 90.00
_cell_angle_gamma 90.00
loop_
_atom_site_label
_atom_site_fract_x
_atom_site_fract_y
_atom_site_fract_z
Ca1 0.0000 0.0302 0.0000
Ca2 0.0000 0.6437 0.4991
Fe1 0.2323 0.0029 0.5070
Fe2 0.2495 0.4992 0.2534
O1 0.1441 0.8328 0.7524
O2 0.1472 0.8353 0.2490
O3 0.1530 0.3392 0.4983
O4 0.1618 0.3194 0.0003
```

Calculated values
offset from the most stable computed form: 5.0 meV per atom
calculated formation energy: -203 kJ per mole of atoms
size of the total moment: 0.00 μB/cell
crystal system: orthorhombic

---

Record 2
A relaxed CaFe2O4 crystal, computed with meta-GGA r2SCAN.

Structure (CIF):
```
data_CaFe2O4
_chemical_formula_sum 'Ca4 Fe8 O16'
_symmetry_space_group_name_H-M 'P n m a'
_symmetry_Int_Tables_number 62
_symmetry_space_group_name_Hall '-P 2ac 2n'
_cell_length_a 9.2435
_cell_length_b 3.0257
_cell_length_c 10.7226
_cell_angle_alpha 90.00
_cell_angle_beta 90.00
_cell_angle_gamma 90.00
loop_
_atom_site_label
_atom_site_fract_x
_atom_site_fract_y
_atom_site_fract_z
Ca1 0.2434 0.2500 0.1563
Fe1 0.0678 0.2500 0.3898
Fe2 0.0802 0.2500 0.8957
O1 0.0255 0.7500 0.7832
O2 0.0823 0.2500 0.5733
O3 0.1199 0.7500 0.0245
O4 0.2052 0.7500 0.3358
```

Calculated values
offset from the most stable computed form: 0.0 meV per atom
calculated formation energy: -204 kJ per mole of atoms
size of the total moment: 40.00 μB/cell
crystal system: orthorhombic

---

Record 3
A relaxed Ca3Fe2O7 crystal, computed with meta-GGA r2SCAN.

Structure (CIF):
```
data_Ca3Fe2O7
_chemical_formula_sum 'Ca12 Fe8 O28'
_symmetry_space_group_name_H-M 'C m c 21'
_symmetry_Int_Tables_number 36
_symmetry_space_group_name_Hall 'C 2c -2'
_cell_length_a 19.2841
_cell_length_b 5.3238
_cell_length_c 5.2872
_cell_angle_alpha 90.00
_cell_angle_beta 90.00
_cell_angle_gamma 90.00
loop_
_atom_site_label
_atom_site_fract_x
_atom_site_fract_y
_atom_site_fract_z
Ca1 0.0000 0.2466 0.0000
Ca2 0.1850 0.2390 0.9579
Fe1 0.0986 0.2519 0.4756
O1 0.0000 0.3024 0.4700
O2 0.0870 0.0255 0.7516
O3 0.1066 0.4744 0.2000
O4 0.1970 0.2080 0.4810
```

Calculated values
calculated formation energy: -236 kJ per mole of atoms
size of the total moment: 31.51 μB/cell
crystal system: orthorhombic